Computed, not measured: a relaxed Bi4O7 crystal at the PBE level of DFT.

As for the crystal system: triclinic. The energy of formation from the pure elements comes out at -1.5692 eV/atom.

a = 6.826 Å, b = 7.003 Å, c = 7.910 Å
α = 73.05°, β = 89.18°, γ = 78.02°
Space group P-1 (No. 2)
Symmetry-distinct sites (fractional):
Bi 0.000 0.000 0.000 x1
Bi 0.000 0.000 0.500 x1
Bi 0.264 0.485 0.380 x2
Bi 0.272 0.510 0.877 x2
Bi 0.478 0.003 0.757 x2
O 0.097 0.678 0.538 x2
O 0.104 0.678 0.127 x2
O 0.116 0.911 0.773 x2
O 0.287 0.076 0.018 x2
O 0.290 0.057 0.441 x2
O 0.468 0.345 0.137 x2
O 0.468 0.370 0.685 x2

***

Computed, not measured: a relaxed Hg3TeO6 crystal at the PBE level of DFT.

As for the crystal system: cubic. The energy of formation from the pure elements comes out at -1.0237 eV/atom.

a = 13.897 Å, b = 13.897 Å, c = 13.897 Å
α = 90.00°, β = 90.00°, γ = 90.00°
Space group Ia-3 (No. 206)
Symmetry-distinct sites (fractional):
Hg 0.047 0.125 0.700 x48
Te 0.000 0.000 0.000 x8
Te 0.250 0.250 0.250 x8
O 0.002 0.004 0.358 x48
O 0.108 0.248 0.252 x48

***

Computed, not measured: a relaxed Zn3P4H28C8N2O12 crystal at the PBE level of DFT.

As for the crystal system: orthorhombic. The energy of formation from the pure elements comes out at -0.8853 eV/atom.

a = 9.407 Å, b = 16.289 Å, c = 32.889 Å
α = 90.00°, β = 90.00°, γ = 90.00°
Space group Fddd (No. 70, origin choice 2)
Symmetry-distinct sites (fractional):
Zn 0.125 0.125 0.125 x8
Zn 0.125 0.125 0.261 x16
P 0.097 0.304 0.307 x32
H 0.017 0.292 0.034 x32
H 0.032 0.070 0.384 x32
H 0.034 0.348 0.927 x32
H 0.041 0.332 0.102 x32
H 0.085 0.329 0.678 x32
H 0.103 0.060 0.492 x32
H 0.106 0.254 0.803 x32
C 0.002 0.359 0.659 x32
C 0.098 0.050 0.788 x32
N 0.125 0.125 0.436 x16
O 0.012 0.048 0.092 x32
O 0.049 0.356 0.271 x32
O 0.091 0.030 0.297 x32

***

Computed, not measured: a relaxed Ba5Ga2S8 crystal at the PBE level of DFT.

As for the crystal system: orthorhombic. The energy of formation from the pure elements comes out at -1.9323 eV/atom.

a = 22.767 Å, b = 12.282 Å, c = 12.030 Å
α = 90.00°, β = 90.00°, γ = 90.00°
Space group Cmce (No. 64)
Symmetry-distinct sites (fractional):
Ba 0.098 0.162 0.005 x16
Ba 0.101 0.004 0.340 x16
Ba 0.250 0.243 0.750 x8
Ga 0.000 0.187 0.733 x8
Ga 0.250 0.000 0.000 x8
S 0.000 0.031 0.848 x8
S 0.000 0.145 0.541 x8
S 0.092 0.244 0.258 x16
S 0.187 0.000 0.148 x16
S 0.188 0.147 0.503 x16

***

Computed, not measured: a relaxed LiSiNi2 crystal at the PBE level of DFT.

As for the crystal system: cubic. The energy of formation from the pure elements comes out at -0.5048 eV/atom.

a = 5.539 Å, b = 5.539 Å, c = 5.539 Å
α = 90.00°, β = 90.00°, γ = 90.00°
Space group Fm-3m (No. 225)
Symmetry-distinct sites (fractional):
Li 0.000 0.000 0.000 x4
Si 0.000 0.000 0.500 x4
Ni 0.250 0.250 0.250 x8

***

Computed, not measured: a relaxed Sr2PrNbO6 crystal at the PBE level of DFT.

As for the crystal system: cubic. The energy of formation from the pure elements comes out at -3.3368 eV/atom.

a = 8.551 Å, b = 8.551 Å, c = 8.551 Å
α = 90.00°, β = 90.00°, γ = 90.00°
Space group Pn-3 (No. 201, origin choice 2)
Symmetry-distinct sites (fractional):
Sr 0.250 0.250 0.250 x2
Sr 0.250 0.250 0.750 x6
Pr 0.000 0.000 0.000 x4
Nb 0.000 0.000 0.500 x4
O 0.037 0.547 0.770 x24

***

Computed, not measured: a relaxed KH6C2S2NO4 crystal at the PBE level of DFT.

As for the crystal system: monoclinic. The energy of formation from the pure elements comes out at -0.8271 eV/atom.

a = 7.783 Å, b = 8.649 Å, c = 12.159 Å
α = 90.00°, β = 107.43°, γ = 90.00°
Space group P2_1/c (No. 14)
Symmetry-distinct sites (fractional):
K 0.071 0.024 0.289 x4
H 0.237 0.023 0.027 x4
H 0.266 0.217 0.587 x4
H 0.356 0.599 0.455 x4
H 0.416 0.601 0.610 x4
H 0.437 0.158 0.522 x4
H 0.498 0.217 0.672 x4
C 0.306 0.588 0.530 x4
C 0.396 0.160 0.601 x4
S 0.142 0.735 0.520 x4
S 0.377 0.532 0.144 x4
N 0.237 0.600 0.028 x4
O 0.018 0.727 0.402 x4
O 0.060 0.706 0.612 x4
O 0.304 0.530 0.242 x4
O 0.445 0.105 0.331 x4